K2ZnCl4: optimized geometry, PBE.

Computed properties:
calculated density: 2.226 g/cm3
formation energy from the elements: -2.00 eV per atom
symmetry: Cc (9)
crystal system: monoclinic
total energy: -537.95 eV for the cell shown

The structure in POSCAR format:
```
K2ZnCl4
1.0
-6.366 -2.080 -13.013
6.659 -11.270 6.544
-23.373 -6.600 12.465
K Zn Cl
48 24 96
Direct
0.893 0.330 0.330
0.395 0.831 0.334
0.866 0.931 0.001
0.344 0.912 0.165
0.034 0.194 0.209
0.435 0.872 0.999
0.337 0.399 0.668
0.436 0.378 0.502
0.555 0.212 0.620
0.912 0.344 0.665
0.839 0.899 0.335
0.872 0.435 0.499
0.056 0.734 0.619
0.399 0.337 0.168
0.574 0.745 0.543
0.831 0.395 0.834
0.369 0.932 0.500
0.330 0.893 0.830
0.745 0.574 0.043
0.222 0.541 0.457
0.050 0.214 0.543
0.219 0.064 0.381
0.522 0.192 0.291
0.702 0.526 0.710
0.828 0.892 0.670
0.064 0.219 0.881
0.526 0.702 0.210
0.741 0.078 0.456
0.192 0.522 0.791
0.734 0.056 0.119
0.541 0.222 0.957
0.830 0.395 0.168
0.931 0.866 0.501
0.078 0.741 0.956
0.338 0.408 0.334
0.720 0.546 0.380
0.899 0.839 0.835
0.212 0.555 0.120
0.194 0.034 0.709
0.892 0.828 0.170
0.378 0.436 0.002
0.214 0.050 0.043
0.408 0.338 0.834
0.037 0.703 0.290
0.703 0.037 0.790
0.395 0.830 0.668
0.932 0.369 0.000
0.546 0.720 0.880
0.205 0.040 0.241
0.706 0.035 0.260
0.059 0.723 0.097
0.703 0.537 0.242
0.713 0.050 0.928
0.050 0.213 0.071
0.224 0.056 0.904
0.731 0.565 0.905
0.040 0.205 0.741
0.539 0.214 0.429
0.056 0.224 0.404
0.213 0.050 0.571
0.565 0.731 0.405
0.200 0.538 0.258
0.050 0.713 0.428
0.723 0.059 0.597
0.214 0.539 0.929
0.537 0.703 0.742
0.542 0.717 0.073
0.717 0.542 0.573
0.538 0.200 0.758
0.228 0.561 0.595
0.561 0.228 0.095
0.035 0.706 0.760
0.990 0.535 0.748
0.829 0.016 0.887
0.982 0.312 0.443
0.525 0.349 0.058
0.187 0.993 0.493
0.319 0.003 0.613
0.312 0.982 0.943
0.444 0.068 0.064
0.760 0.569 0.824
0.030 0.494 0.244
0.188 0.489 0.008
0.307 0.201 0.278
0.244 0.564 0.339
0.844 0.523 0.946
0.219 0.287 0.437
0.441 0.559 0.113
0.931 0.254 0.780
0.756 0.065 0.340
0.424 0.242 0.719
0.221 0.756 0.422
0.068 0.444 0.564
0.054 0.439 0.891
0.959 0.551 0.078
0.201 0.307 0.778
0.813 0.193 0.222
0.222 0.774 0.065
0.569 0.760 0.324
0.417 0.738 0.780
0.506 0.835 0.112
0.034 0.990 0.256
0.991 0.687 0.507
0.564 0.450 0.928
0.523 0.844 0.446
0.244 0.560 0.677
0.051 0.957 0.609
0.003 0.319 0.113
0.949 0.555 0.389
0.766 0.074 0.676
0.055 0.959 0.928
0.270 0.711 0.916
0.992 0.813 0.053
0.738 0.417 0.280
0.555 0.949 0.889
0.756 0.221 0.922
0.016 0.829 0.387
0.687 0.991 0.007
0.993 0.187 0.993
0.325 0.495 0.889
0.559 0.441 0.613
0.242 0.424 0.219
0.266 0.223 0.580
0.287 0.219 0.937
0.563 0.749 0.662
0.260 0.724 0.570
0.835 0.506 0.612
0.223 0.266 0.080
0.726 0.761 0.432
0.761 0.726 0.932
0.065 0.756 0.840
0.489 0.188 0.508
0.715 0.768 0.084
0.813 0.693 0.280
0.921 0.746 0.720
0.067 0.248 0.660
0.491 0.688 0.994
0.450 0.564 0.428
0.534 0.497 0.255
0.957 0.051 0.109
0.248 0.067 0.160
0.535 0.990 0.248
0.305 0.698 0.221
0.494 0.030 0.744
0.746 0.921 0.220
0.724 0.260 0.070
0.813 0.992 0.553
0.193 0.813 0.722
0.698 0.305 0.721
0.774 0.222 0.565
0.070 0.257 0.323
0.439 0.054 0.391
0.497 0.534 0.755
0.074 0.766 0.176
0.254 0.931 0.280
0.257 0.070 0.823
0.688 0.491 0.494
0.749 0.563 0.162
0.560 0.244 0.177
0.693 0.813 0.780
0.564 0.244 0.839
0.768 0.715 0.584
0.551 0.959 0.578
0.990 0.034 0.756
0.495 0.325 0.389
0.711 0.270 0.416
0.349 0.525 0.558
0.959 0.055 0.428
```


Lu2CuPt: optimized geometry, PBE.

Computed properties:
calculated density: 12.848 g/cm3
formation energy from the elements: -0.84 eV per atom
symmetry: Fm-3m (225)
crystal system: cubic
total energy: -22.58 eV for the cell shown

The structure in POSCAR format:
```
Lu2CuPt
1.0
-4.586 -1.436 0.187
-3.046 2.077 3.088
-3.489 2.879 -1.633
Lu Cu Pt
2 1 1
Direct
0.250 0.250 0.250
0.750 0.750 0.750
0.500 0.500 0.500
0.000 0.000 0.000
```


La2Ga12Ni: optimized geometry, PBE.

Computed properties:
calculated density: 6.576 g/cm3
formation energy from the elements: -0.43 eV per atom
symmetry: P4/nbm (125)
crystal system: tetragonal
total energy: -116.77 eV for the cell shown

The structure in POSCAR format:
```
La2Ga12Ni
1.0
-3.968 0.651 -4.618
1.832 -5.358 -2.329
-11.069 -7.462 8.459
La Ga Ni
4 24 2
Direct
0.500 0.000 0.244
0.000 0.500 0.244
0.000 0.500 0.756
0.500 0.000 0.756
0.500 0.500 0.819
0.000 0.000 0.819
0.750 0.750 0.917
0.250 0.750 0.917
0.000 0.000 0.339
0.250 0.750 0.083
0.817 0.317 0.572
0.500 0.500 0.339
0.250 0.250 0.917
0.750 0.750 0.083
0.317 0.183 0.572
0.683 0.183 0.428
0.000 0.000 0.661
0.183 0.317 0.428
0.250 0.250 0.083
0.817 0.683 0.428
0.683 0.817 0.572
0.000 0.000 0.181
0.183 0.683 0.572
0.500 0.500 0.661
0.750 0.250 0.917
0.500 0.500 0.181
0.317 0.817 0.428
0.750 0.250 0.083
0.500 0.000 0.000
0.000 0.500 0.000
```


Y5Ge10Rh4: optimized geometry, PBE.

Computed properties:
calculated density: 7.088 g/cm3
formation energy from the elements: -0.81 eV per atom
symmetry: P4/mbm (127)
crystal system: tetragonal
total energy: -246.94 eV for the cell shown

The structure in POSCAR format:
```
Y5Ge10Rh4
1.0
-10.655 2.722 -7.127
-3.789 -12.514 0.886
-2.182 0.916 3.612
Y Ge Rh
10 20 8
Direct
0.500 0.500 0.000
0.000 0.000 0.000
0.676 0.176 0.500
0.324 0.824 0.500
0.176 0.324 0.500
0.824 0.676 0.500
0.887 0.387 0.500
0.113 0.613 0.500
0.387 0.113 0.500
0.613 0.887 0.500
0.566 0.066 0.000
0.434 0.934 0.000
0.066 0.434 0.000
0.934 0.566 0.000
0.661 0.700 0.000
0.339 0.300 0.000
0.161 0.800 0.000
0.839 0.200 0.000
0.300 0.661 0.000
0.700 0.339 0.000
0.200 0.161 0.000
0.800 0.839 0.000
0.659 0.503 0.500
0.341 0.497 0.500
0.159 0.997 0.500
0.841 0.003 0.500
0.497 0.659 0.500
0.503 0.341 0.500
0.003 0.159 0.500
0.997 0.841 0.500
0.746 0.522 0.000
0.254 0.478 0.000
0.246 0.978 0.000
0.754 0.022 0.000
0.478 0.746 0.000
0.522 0.254 0.000
0.022 0.246 0.000
0.978 0.754 0.000
```


SiO2: optimized geometry, PBE.

Computed properties:
calculated density: 1.630 g/cm3
formation energy from the elements: -3.24 eV per atom
symmetry: I4_1/amd (141)
crystal system: tetragonal
total energy: -426.20 eV for the cell shown

The structure in POSCAR format:
```
SiO2
1.0
-3.607 3.607 21.172
3.607 -3.607 21.172
3.607 3.607 -21.172
Si O
18 36
Direct
0.189 0.482 0.293
0.232 0.439 0.793
0.646 0.439 0.207
0.561 0.354 0.793
0.561 0.768 0.207
0.189 0.896 0.707
0.104 0.811 0.293
0.518 0.811 0.707
0.306 0.087 0.219
0.837 0.118 0.281
0.837 0.556 0.719
0.444 0.163 0.281
0.882 0.163 0.719
0.868 0.087 0.781
0.913 0.132 0.219
0.913 0.694 0.781
0.250 0.750 0.500
0.500 0.500 0.000
0.228 0.543 0.316
0.293 0.478 0.816
0.662 0.478 0.184
0.522 0.338 0.816
0.522 0.707 0.184
0.228 0.912 0.684
0.088 0.772 0.316
0.457 0.772 0.684
0.992 0.362 0.998
0.112 0.614 0.870
0.744 0.242 0.130
0.758 0.256 0.870
0.386 0.888 0.130
0.364 0.994 0.002
0.006 0.636 0.998
0.638 0.008 0.002
0.758 0.888 0.502
0.638 0.636 0.630
0.006 0.008 0.370
0.992 0.994 0.630
0.364 0.362 0.370
0.386 0.256 0.498
0.744 0.614 0.502
0.112 0.242 0.498
0.173 0.673 0.500
0.423 0.423 0.000
0.577 0.577 0.000
0.327 0.827 0.500
0.079 0.079 0.000
0.829 0.329 0.500
0.671 0.171 0.500
0.921 0.921 0.000
0.375 0.125 0.250
0.875 0.125 0.250
0.875 0.625 0.750
0.875 0.125 0.750
```


Rb2DyAuCl6: optimized geometry, PBE.

Computed properties:
calculated density: 3.932 g/cm3
formation energy from the elements: -2.04 eV per atom
symmetry: Fm-3m (225)
crystal system: cubic
total energy: -37.65 eV for the cell shown

The structure in POSCAR format:
```
Rb2DyAuCl6
1.0
-7.415 -1.179 1.343
-3.564 3.959 5.459
-5.113 5.339 -1.881
Rb Dy Au Cl
2 1 1 6
Direct
0.750 0.750 0.750
0.250 0.250 0.250
0.000 0.000 0.000
0.500 0.500 0.500
0.756 0.244 0.244
0.244 0.244 0.756
0.244 0.756 0.756
0.244 0.756 0.244
0.756 0.244 0.756
0.756 0.756 0.244
```


CeCo2SiB: optimized geometry, PBE.

Computed properties:
calculated density: 7.314 g/cm3
formation energy from the elements: -0.57 eV per atom
symmetry: I4mm (107)
crystal system: tetragonal
total energy: -35.12 eV for the cell shown

The structure in POSCAR format:
```
CeCo2SiB
1.0
-3.335 1.637 0.001
-1.281 -2.613 2.309
-0.970 2.236 4.981
Ce Co Si B
1 2 1 1
Direct
0.987 0.987 0.026
0.763 0.263 0.474
0.263 0.763 0.474
0.631 0.631 0.738
0.356 0.356 0.289
```


Mg6CrSn: optimized geometry, PBE.

Computed properties:
calculated density: 3.050 g/cm3
formation energy from the elements: 0.08 eV per atom
total energy: -45.30 eV for the cell shown

The structure in POSCAR format:
```
Mg6CrSn
1.0
4.983 0.000 0.000
0.000 6.367 0.000
0.000 0.000 10.863
Mg Cr Sn
12 2 2
Direct
0.000 0.253 0.085
0.000 0.747 0.085
0.000 0.500 0.832
0.500 0.253 0.918
0.500 0.747 0.918
0.500 0.500 0.666
0.000 0.753 0.585
0.000 0.247 0.585
0.000 0.000 0.332
0.500 0.753 0.418
0.500 0.247 0.418
0.500 0.000 0.166
0.500 0.500 0.167
0.500 0.000 0.667
0.000 0.500 0.329
0.000 0.000 0.829
```


Nb3AlCr8: optimized geometry, PBE.

Computed properties:
calculated density: 7.279 g/cm3
formation energy from the elements: -0.05 eV per atom
symmetry: P3m1 (156)
crystal system: trigonal
total energy: -111.83 eV for the cell shown
polymorph energy (0 for the lowest one): 21 meV per atom

The structure in POSCAR format:
```
Nb3AlCr8
1.0
2.437 -4.220 0.000
2.437 4.220 0.000
0.000 0.000 8.004
Nb Al Cr
3 1 8
Direct
0.667 0.333 0.443
0.667 0.333 0.060
0.000 0.000 0.936
0.000 0.000 0.563
0.333 0.667 0.499
0.333 0.667 0.999
0.502 0.004 0.748
0.502 0.498 0.748
0.996 0.498 0.748
0.163 0.326 0.252
0.163 0.837 0.252
0.674 0.837 0.252
```


KCaPrSbO6: optimized geometry, PBE.

Computed properties:
calculated density: 4.930 g/cm3
formation energy from the elements: -2.46 eV per atom
symmetry: F-43m (216)
crystal system: cubic
total energy: -62.17 eV for the cell shown

The structure in POSCAR format:
```
KCaPrSbO6
1.0
-2.267 2.062 -5.077
-0.669 -3.632 -4.640
-5.432 -1.656 -1.710
K Ca Pr Sb O
1 1 1 1 6
Direct
0.750 0.750 0.750
0.000 0.000 0.000
0.250 0.250 0.250
0.500 0.500 0.500
0.736 0.264 0.264
0.264 0.736 0.736
0.736 0.264 0.736
0.264 0.736 0.264
0.736 0.736 0.264
0.264 0.264 0.736
```